First-principles (GGA-PBE) data for DySnPd after structural relaxation, as listed in the Materials Project.

The structure in extended XYZ format:
```
12
Lattice="7.229 0.000 0.000 0.000 4.634 0.000 0.000 0.000 8.011" Properties=species:S:1:pos:R:3 pbc="T T T"
Dy 0.064 1.159 1.652
Dy 3.551 3.476 5.658
Dy 3.678 1.159 2.353
Dy 7.166 3.476 6.358
Sn 1.408 1.159 4.702
Sn 2.206 3.476 0.696
Sn 5.023 1.159 7.314
Sn 5.821 3.476 3.309
Pd 1.480 3.476 3.320
Pd 2.135 1.159 7.326
Pd 5.095 3.476 0.685
Pd 5.749 1.159 4.690
```

Calculated values
- E (eV/atom) = -5.52
- space group = Pnma, No. 62
- calculated density (Mg/m³) = 9.593
- energy relative to the elements (eV per atom) = -0.92